# Na3HfGaSiP2O12

A relaxed Na3HfGaSiP2O12 crystal (PBE, Materials Project).

Cell lengths 15.582, 8.896, 8.930 Å; angles 90.00, 124.47, 90.00 degrees
Positions (direct):
Na (0.249, 0.728, 0.991)
Na (0.749, 0.772, 0.491)
Na (0.749, 0.228, 0.991)
Na (0.249, 0.272, 0.491)
Na (0.504, 0.099, 0.759)
Na (0.504, 0.901, 0.259)
Na (0.004, 0.599, 0.759)
Na (0.004, 0.401, 0.259)
Na (0.184, 0.926, 0.287)
Na (0.184, 0.074, 0.787)
Na (0.684, 0.426, 0.287)
Na (0.684, 0.574, 0.787)
Hf (0.895, 0.757, 0.937)
Hf (0.895, 0.243, 0.437)
Hf (0.395, 0.257, 0.937)
Hf (0.395, 0.743, 0.437)
Ga (0.105, 0.741, 0.559)
Ga (0.105, 0.259, 0.059)
Ga (0.605, 0.241, 0.559)
Ga (0.605, 0.759, 0.059)
Si (0.644, 0.901, 0.744)
Si (0.644, 0.099, 0.244)
Si (0.144, 0.401, 0.744)
Si (0.144, 0.599, 0.244)
P (0.005, 0.957, 0.758)
P (0.005, 0.043, 0.258)
P (0.505, 0.457, 0.758)
P (0.505, 0.543, 0.258)
P (0.351, 0.889, 0.758)
P (0.351, 0.111, 0.258)
P (0.851, 0.389, 0.758)
P (0.851, 0.611, 0.258)
O (0.146, 0.584, 0.738)
O (0.847, 0.566, 0.760)
O (0.847, 0.434, 0.260)
O (0.146, 0.416, 0.238)
O (0.646, 0.084, 0.738)
O (0.347, 0.066, 0.760)
O (0.347, 0.934, 0.260)
O (0.646, 0.916, 0.238)
O (0.441, 0.559, 0.590)
O (0.570, 0.553, 0.932)
O (0.570, 0.447, 0.432)
O (0.441, 0.441, 0.090)
O (0.941, 0.059, 0.590)
O (0.070, 0.053, 0.932)
O (0.070, 0.947, 0.432)
O (0.941, 0.941, 0.090)
O (0.254, 0.831, 0.745)
O (0.742, 0.818, 0.756)
O (0.742, 0.182, 0.256)
O (0.254, 0.169, 0.245)
O (0.754, 0.331, 0.745)
O (0.242, 0.318, 0.756)
O (0.242, 0.682, 0.256)
O (0.754, 0.669, 0.245)
O (0.349, 0.855, 0.584)
O (0.638, 0.855, 0.914)
O (0.638, 0.145, 0.414)
O (0.349, 0.145, 0.084)
O (0.849, 0.355, 0.584)
O (0.138, 0.355, 0.914)
O (0.138, 0.645, 0.414)
O (0.849, 0.645, 0.084)
O (0.451, 0.829, 0.929)
O (0.538, 0.835, 0.559)
O (0.538, 0.165, 0.059)
O (0.451, 0.171, 0.429)
O (0.951, 0.329, 0.929)
O (0.038, 0.335, 0.559)
O (0.038, 0.665, 0.059)
O (0.951, 0.671, 0.429)
O (0.082, 0.860, 0.744)
O (0.925, 0.852, 0.756)
O (0.925, 0.148, 0.256)
O (0.082, 0.140, 0.244)
O (0.582, 0.360, 0.744)
O (0.425, 0.352, 0.756)
O (0.425, 0.648, 0.256)
O (0.582, 0.640, 0.244)

Results
Total DFT energy (no corrections) = -7.086 eV per atom
Formation enthalpy at 0 K = -2.869 eV per atom

# Na7Hf2Ga2Si3P3O24

A relaxed Na7Hf2Ga2Si3P3O24 crystal (PBE, Materials Project).

Cell lengths 9.024, 8.994, 22.310 Å; angles 89.75, 90.31, 120.02 degrees
Positions (direct):
Na (0.633, 0.003, 0.252)
Na (0.367, 0.370, 0.248)
Na (0.000, 0.628, 0.250)
Na (0.631, 0.633, 0.750)
Na (0.995, 0.365, 0.750)
Na (0.372, 0.001, 0.749)
Na (0.033, 0.696, 0.584)
Na (0.664, 0.972, 0.583)
Na (0.666, 0.691, 0.082)
Na (0.032, 0.336, 0.086)
Na (0.961, 0.664, 0.918)
Na (0.703, 0.034, 0.916)
Na (0.339, 0.302, 0.917)
Na (0.967, 0.304, 0.415)
Na (0.335, 0.027, 0.418)
Na (0.000, 0.999, 0.500)
Na (0.009, 0.996, 0.998)
Na (0.667, 0.333, 0.833)
Na (0.672, 0.341, 0.332)
Na (0.327, 0.668, 0.168)
Na (0.333, 0.661, 0.668)
Hf (0.991, 0.996, 0.353)
Hf (0.002, 0.005, 0.648)
Hf (0.008, 0.004, 0.145)
Hf (0.666, 0.333, 0.480)
Hf (0.336, 0.670, 0.020)
Hf (0.334, 0.666, 0.520)
Ga (0.991, 0.997, 0.850)
Ga (0.669, 0.323, 0.683)
Ga (0.674, 0.337, 0.181)
Ga (0.662, 0.343, 0.984)
Ga (0.326, 0.663, 0.318)
Ga (0.343, 0.670, 0.817)
Si (0.000, 0.303, 0.249)
Si (0.702, 0.000, 0.752)
Si (0.959, 0.335, 0.586)
Si (0.374, 0.044, 0.585)
Si (0.955, 0.621, 0.083)
Si (0.382, 0.330, 0.083)
Si (0.631, 0.667, 0.915)
Si (0.621, 0.953, 0.414)
Si (0.042, 0.667, 0.415)
P (0.299, 0.001, 0.251)
P (0.701, 0.702, 0.249)
P (0.293, 0.294, 0.754)
P (0.000, 0.705, 0.753)
P (0.665, 0.617, 0.588)
P (0.665, 0.051, 0.083)
P (0.042, 0.374, 0.914)
P (0.333, 0.961, 0.914)
P (0.336, 0.380, 0.413)
O (0.214, 0.030, 0.307)
O (0.823, 0.792, 0.303)
O (0.967, 0.178, 0.308)
O (0.211, 0.176, 0.810)
O (0.971, 0.792, 0.808)
O (0.830, 0.041, 0.810)
O (0.788, 0.962, 0.693)
O (0.175, 0.205, 0.698)
O (0.034, 0.820, 0.696)
O (0.787, 0.817, 0.193)
O (0.032, 0.210, 0.191)
O (0.176, 0.969, 0.197)
O (0.877, 0.375, 0.645)
O (0.493, 0.128, 0.644)
O (0.641, 0.512, 0.645)
O (0.878, 0.504, 0.143)
O (0.637, 0.125, 0.141)
O (0.500, 0.367, 0.143)
O (0.459, 0.299, 0.022)
O (0.839, 0.540, 0.022)
O (0.699, 0.161, 0.026)
O (0.456, 0.154, 0.524)
O (0.696, 0.536, 0.532)
O (0.840, 0.302, 0.526)
O (0.545, 0.704, 0.974)
O (0.156, 0.460, 0.971)
O (0.299, 0.841, 0.969)
O (0.540, 0.844, 0.476)
O (0.303, 0.460, 0.469)
O (0.160, 0.697, 0.475)
O (0.123, 0.628, 0.356)
O (0.502, 0.866, 0.355)
O (0.362, 0.484, 0.356)
O (0.125, 0.492, 0.859)
O (0.363, 0.878, 0.857)
O (0.504, 0.627, 0.857)
O (0.035, 0.845, 0.411)
O (0.819, 0.987, 0.412)
O (0.173, 0.197, 0.409)
O (0.032, 0.196, 0.910)
O (0.172, 0.981, 0.909)
O (0.824, 0.841, 0.910)
O (0.967, 0.156, 0.590)
O (0.177, 0.006, 0.589)
O (0.829, 0.799, 0.591)
O (0.965, 0.808, 0.089)
O (0.826, 0.027, 0.089)
O (0.183, 0.169, 0.087)
O (0.686, 0.175, 0.746)
O (0.474, 0.316, 0.747)
O (0.834, 0.527, 0.747)
O (0.685, 0.523, 0.246)
O (0.823, 0.314, 0.244)
O (0.476, 0.165, 0.244)
O (0.648, 0.492, 0.920)
O (0.860, 0.350, 0.920)
O (0.499, 0.138, 0.921)
O (0.639, 0.146, 0.419)
O (0.491, 0.353, 0.420)
O (0.852, 0.497, 0.421)
O (0.362, 0.505, 0.078)
O (0.145, 0.640, 0.077)
O (0.508, 0.864, 0.078)
O (0.360, 0.853, 0.581)
O (0.510, 0.645, 0.581)
O (0.148, 0.504, 0.580)
O (0.314, 0.838, 0.254)
O (0.525, 0.690, 0.255)
O (0.177, 0.491, 0.254)
O (0.302, 0.472, 0.757)
O (0.161, 0.684, 0.758)
O (0.510, 0.826, 0.757)

Results
Total DFT energy (no corrections) = -7.024 eV per atom
Space group = No. 1
Formation enthalpy at 0 K = -2.877 eV per atom

# Na4Hf2Ga2Si3S3O24

A relaxed Na4Hf2Ga2Si3S3O24 crystal (PBE, Materials Project).

Cell lengths 8.911, 8.900, 22.693 Å; angles 90.22, 88.56, 119.85 degrees
Positions (direct):
Na (0.000, 0.644, 0.253)
Na (0.997, 0.357, 0.739)
Na (0.663, 0.971, 0.588)
Na (0.669, 0.699, 0.081)
Na (0.335, 0.304, 0.902)
Na (0.325, 0.027, 0.421)
Na (0.010, 0.003, 0.500)
Na (0.988, 0.980, 0.992)
Na (0.656, 0.330, 0.820)
Na (0.664, 0.345, 0.331)
Na (0.335, 0.678, 0.167)
Na (0.335, 0.667, 0.659)
Hf (0.009, 0.011, 0.646)
Hf (0.004, 0.989, 0.149)
Hf (0.676, 0.348, 0.980)
Hf (0.675, 0.339, 0.483)
Hf (0.337, 0.672, 0.313)
Hf (0.348, 0.668, 0.810)
Ga (0.004, 0.968, 0.347)
Ga (0.977, 0.991, 0.843)
Ga (0.642, 0.294, 0.684)
Ga (0.676, 0.346, 0.190)
Ga (0.333, 0.676, 0.017)
Ga (0.280, 0.662, 0.523)
Si (0.307, 0.014, 0.251)
Si (0.706, 0.703, 0.249)
Si (0.294, 0.279, 0.753)
Si (0.710, 0.006, 0.748)
Si (0.956, 0.339, 0.588)
Si (0.372, 0.034, 0.580)
Si (0.970, 0.620, 0.085)
Si (0.631, 0.683, 0.919)
Si (0.033, 0.668, 0.414)
S (0.999, 0.285, 0.252)
S (0.997, 0.708, 0.753)
S (0.663, 0.621, 0.586)
S (0.665, 0.045, 0.084)
S (0.375, 0.336, 0.084)
S (0.046, 0.377, 0.919)
S (0.331, 0.957, 0.919)
S (0.633, 0.958, 0.417)
S (0.328, 0.377, 0.419)
O (0.223, 0.044, 0.311)
O (0.835, 0.797, 0.303)
O (0.979, 0.180, 0.304)
O (0.204, 0.166, 0.815)
O (0.978, 0.790, 0.808)
O (0.831, 0.042, 0.806)
O (0.790, 0.965, 0.689)
O (0.164, 0.192, 0.699)
O (0.028, 0.816, 0.700)
O (0.787, 0.818, 0.188)
O (0.022, 0.207, 0.196)
O (0.171, 0.973, 0.196)
O (0.867, 0.366, 0.647)
O (0.498, 0.121, 0.635)
O (0.640, 0.516, 0.638)
O (0.875, 0.504, 0.144)
O (0.645, 0.127, 0.137)
O (0.484, 0.358, 0.134)
O (0.451, 0.306, 0.028)
O (0.837, 0.528, 0.030)
O (0.679, 0.143, 0.030)
O (0.453, 0.148, 0.518)
O (0.688, 0.540, 0.531)
O (0.835, 0.309, 0.530)
O (0.538, 0.701, 0.981)
O (0.153, 0.467, 0.970)
O (0.309, 0.854, 0.974)
O (0.557, 0.857, 0.471)
O (0.317, 0.467, 0.472)
O (0.166, 0.710, 0.468)
O (0.124, 0.644, 0.354)
O (0.517, 0.868, 0.365)
O (0.352, 0.482, 0.364)
O (0.116, 0.480, 0.864)
O (0.351, 0.874, 0.866)
O (0.496, 0.637, 0.866)
O (0.025, 0.850, 0.412)
O (0.809, 0.987, 0.406)
O (0.172, 0.204, 0.415)
O (0.035, 0.206, 0.916)
O (0.182, 0.986, 0.917)
O (0.825, 0.848, 0.908)
O (0.966, 0.158, 0.589)
O (0.178, 0.003, 0.588)
O (0.824, 0.796, 0.588)
O (0.979, 0.812, 0.087)
O (0.827, 0.030, 0.085)
O (0.198, 0.184, 0.089)
O (0.698, 0.182, 0.745)
O (0.489, 0.314, 0.742)
O (0.846, 0.536, 0.749)
O (0.704, 0.519, 0.244)
O (0.847, 0.310, 0.248)
O (0.498, 0.177, 0.238)
O (0.637, 0.498, 0.925)
O (0.866, 0.350, 0.926)
O (0.493, 0.133, 0.924)
O (0.637, 0.130, 0.419)
O (0.484, 0.352, 0.420)
O (0.842, 0.497, 0.421)
O (0.365, 0.497, 0.078)
O (0.163, 0.644, 0.074)
O (0.514, 0.864, 0.081)
O (0.372, 0.849, 0.575)
O (0.514, 0.648, 0.579)
O (0.152, 0.501, 0.580)
O (0.310, 0.830, 0.255)
O (0.512, 0.675, 0.255)
O (0.157, 0.463, 0.254)
O (0.296, 0.467, 0.760)
O (0.154, 0.687, 0.759)
O (0.515, 0.838, 0.756)

Results
Total DFT energy (no corrections) = -6.897 eV per atom
Space group = No. 1
Formation enthalpy at 0 K = -2.628 eV per atom

# NaHfGaSiS2O12

A relaxed NaHfGaSiS2O12 crystal (PBE, Materials Project).

Cell lengths 8.731, 8.788, 22.936 Å; angles 89.03, 90.00, 119.79 degrees
Positions (direct):
Na (0.015, 0.010, 0.504)
Na (0.996, 0.010, 0.004)
Na (0.678, 0.330, 0.837)
Na (0.652, 0.330, 0.337)
Na (0.340, 0.682, 0.170)
Na (0.342, 0.682, 0.670)
Hf (0.017, 0.011, 0.355)
Hf (0.995, 0.011, 0.855)
Hf (0.660, 0.314, 0.687)
Hf (0.655, 0.314, 0.187)
Hf (0.334, 0.666, 0.021)
Hf (0.332, 0.666, 0.521)
Ga (0.997, 0.995, 0.650)
Ga (0.998, 0.995, 0.150)
Ga (0.696, 0.324, 0.981)
Ga (0.629, 0.324, 0.481)
Ga (0.339, 0.671, 0.315)
Ga (0.332, 0.671, 0.815)
Si (0.282, 0.984, 0.248)
Si (0.702, 0.984, 0.748)
Si (0.362, 0.039, 0.584)
Si (0.677, 0.039, 0.084)
Si (0.047, 0.388, 0.915)
Si (0.341, 0.388, 0.415)
S (0.709, 0.712, 0.250)
S (0.006, 0.294, 0.249)
S (0.288, 0.294, 0.749)
S (0.003, 0.712, 0.750)
S (0.951, 0.328, 0.581)
S (0.673, 0.625, 0.582)
S (0.952, 0.625, 0.082)
S (0.378, 0.328, 0.081)
S (0.621, 0.657, 0.917)
S (0.339, 0.962, 0.916)
S (0.623, 0.962, 0.416)
S (0.036, 0.657, 0.417)
O (0.197, 0.022, 0.306)
O (0.815, 0.793, 0.303)
O (0.968, 0.181, 0.302)
O (0.212, 0.181, 0.802)
O (0.978, 0.793, 0.803)
O (0.825, 0.022, 0.806)
O (0.800, 0.964, 0.691)
O (0.183, 0.212, 0.697)
O (0.033, 0.820, 0.696)
O (0.787, 0.820, 0.196)
O (0.029, 0.212, 0.197)
O (0.164, 0.964, 0.191)
O (0.874, 0.361, 0.635)
O (0.490, 0.130, 0.641)
O (0.645, 0.518, 0.636)
O (0.873, 0.518, 0.136)
O (0.640, 0.130, 0.141)
O (0.487, 0.361, 0.135)
O (0.464, 0.311, 0.029)
O (0.845, 0.546, 0.030)
O (0.705, 0.159, 0.026)
O (0.454, 0.159, 0.526)
O (0.701, 0.546, 0.530)
O (0.846, 0.311, 0.529)
O (0.545, 0.695, 0.969)
O (0.163, 0.472, 0.973)
O (0.311, 0.851, 0.969)
O (0.540, 0.851, 0.469)
O (0.309, 0.472, 0.473)
O (0.150, 0.695, 0.469)
O (0.118, 0.637, 0.364)
O (0.515, 0.886, 0.364)
O (0.364, 0.506, 0.357)
O (0.142, 0.506, 0.857)
O (0.371, 0.886, 0.864)
O (0.519, 0.637, 0.864)
O (0.012, 0.815, 0.411)
O (0.797, 0.970, 0.410)
O (0.164, 0.190, 0.410)
O (0.026, 0.190, 0.910)
O (0.173, 0.970, 0.910)
O (0.803, 0.815, 0.911)
O (0.971, 0.173, 0.589)
O (0.168, 0.022, 0.594)
O (0.827, 0.802, 0.587)
O (0.976, 0.802, 0.087)
O (0.854, 0.022, 0.094)
O (0.202, 0.173, 0.089)
O (0.689, 0.165, 0.744)
O (0.470, 0.316, 0.744)
O (0.841, 0.537, 0.744)
O (0.696, 0.537, 0.244)
O (0.847, 0.316, 0.244)
O (0.476, 0.165, 0.244)
O (0.636, 0.499, 0.926)
O (0.849, 0.367, 0.920)
O (0.490, 0.140, 0.923)
O (0.650, 0.140, 0.423)
O (0.518, 0.367, 0.420)
O (0.863, 0.499, 0.426)
O (0.359, 0.489, 0.077)
O (0.131, 0.640, 0.077)
O (0.500, 0.846, 0.077)
O (0.347, 0.846, 0.577)
O (0.510, 0.640, 0.577)
O (0.130, 0.489, 0.577)
O (0.309, 0.814, 0.259)
O (0.530, 0.690, 0.255)
O (0.163, 0.468, 0.256)
O (0.305, 0.468, 0.756)
O (0.160, 0.690, 0.755)
O (0.505, 0.814, 0.759)

Results
Total DFT energy (no corrections) = -6.926 eV per atom
Space group = No. 9
Formation enthalpy at 0 K = -2.529 eV per atom